# 1
{"formula": "YTe", "functional": "r2SCAN", "state": "relaxed", "cell": [[-2.362, 0.940, 3.538], [0.499, 3.841, 1.994], [-3.156, 2.995, -0.221]], "species": ["Y", "Te"], "frac_coords": [[0.000, 0.000, 0.000], [0.500, 0.500, 0.500]], "formation_enthalpy_0k_mev_per_atom": -1515, "space_group": "No. 225", "final_energy_ry_per_atom": -1.79194}



# 2
{"formula": "YTe", "functional": "r2SCAN", "state": "relaxed", "cell": [[-0.590, -0.386, -4.048], [1.095, -3.268, 2.238], [-3.915, -0.864, 0.653]], "species": ["Y", "Te"], "frac_coords": [[0.333, 0.667, 0.250], [0.667, 0.333, 0.750]], "formation_enthalpy_0k_mev_per_atom": -1542, "space_group": "No. 187", "final_energy_ry_per_atom": -1.79391}



# 3
{"formula": "YbTe", "functional": "r2SCAN", "state": "relaxed", "cell": [[2.357, 2.950, 1.985], [3.948, -0.951, 1.309], [3.372, 1.717, -1.971]], "species": ["Yb", "Te"], "frac_coords": [[0.500, 0.500, 0.500], [0.000, 0.000, 0.000]], "formation_enthalpy_0k_mev_per_atom": -1328, "space_group": "No. 225", "final_energy_ry_per_atom": -2.37409}



# 4
{"formula": "ZrTe2", "functional": "r2SCAN", "state": "relaxed", "cell": [[-2.125, 2.393, 2.418], [-1.844, -2.878, -2.102], [0.962, -4.467, 5.274]], "species": ["Zr", "Te", "Te"], "frac_coords": [[0.000, 0.000, 0.000], [0.667, 0.333, 0.747], [0.333, 0.667, 0.253]], "formation_enthalpy_0k_mev_per_atom": -1068, "space_group": "No. 164", "final_energy_ry_per_atom": -1.88131}



# 5
{"formula": "Zr5Te4", "functional": "r2SCAN", "state": "relaxed", "cell": [[-3.726, 0.015, -1.099], [-0.537, -6.014, -5.131], [-3.574, -4.765, 5.219]], "species": ["Zr", "Zr", "Zr", "Zr", "Zr", "Te", "Te", "Te", "Te"], "frac_coords": [[0.000, 0.000, 0.000], [0.310, 0.060, 0.322], [0.631, 0.678, 0.060], [0.369, 0.322, 0.940], [0.690, 0.940, 0.678], [0.053, 0.227, 0.667], [0.720, 0.332, 0.226], [0.280, 0.668, 0.774], [0.947, 0.773, 0.333]], "formation_enthalpy_0k_mev_per_atom": -965, "space_group": "No. 2", "final_energy_ry_per_atom": -1.83016}



# 6
{"formula": "ZrTe", "functional": "r2SCAN", "state": "relaxed", "cell": [[3.808, 0.000, 0.000], [-1.904, 3.298, 0.000], [0.000, 0.000, 3.867]], "species": ["Zr", "Te"], "frac_coords": [[0.000, 0.000, 0.000], [0.333, 0.667, 0.500]], "formation_enthalpy_0k_mev_per_atom": -1043, "space_group": "No. 187", "final_energy_ry_per_atom": -1.84675}



# 7
{"formula": "Zr2Te", "functional": "r2SCAN", "state": "relaxed", "cell": [[3.863, 0.000, 0.000], [0.000, 10.726, 0.000], [0.000, 0.000, 20.036]], "species": ["Zr", "Zr", "Zr", "Zr", "Zr", "Zr", "Zr", "Zr", "Zr", "Zr", "Zr", "Zr", "Zr", "Zr", "Zr", "Zr", "Zr", "Zr", "Zr", "Zr", "Zr", "Zr", "Zr", "Zr", "Te", "Te", "Te", "Te", "Te", "Te", "Te", "Te", "Te", "Te", "Te", "Te"], "frac_coords": [[0.250, 0.609, 0.985], [0.750, 0.391, 0.015], [0.750, 0.109, 0.515], [0.250, 0.891, 0.485], [0.250, 0.078, 0.645], [0.750, 0.922, 0.355], [0.750, 0.578, 0.855], [0.250, 0.422, 0.145], [0.250, 0.389, 0.533], [0.750, 0.611, 0.467], [0.750, 0.889, 0.967], [0.250, 0.111, 0.033], [0.250, 0.147, 0.395], [0.750, 0.853, 0.605], [0.750, 0.647, 0.105], [0.250, 0.353, 0.895], [0.250, 0.459, 0.342], [0.750, 0.541, 0.658], [0.750, 0.959, 0.158], [0.250, 0.041, 0.842], [0.250, 0.752, 0.224], [0.750, 0.248, 0.776], [0.750, 0.252, 0.276], [0.250, 0.748, 0.724], [0.250, 0.463, 0.760], [0.750, 0.537, 0.240], [0.750, 0.963, 0.740], [0.250, 0.037, 0.260], [0.250, 0.780, 0.870], [0.750, 0.220, 0.130], [0.750, 0.280, 0.630], [0.250, 0.720, 0.370], [0.250, 0.662, 0.573], [0.750, 0.338, 0.427], [0.750, 0.162, 0.927], [0.250, 0.838, 0.073]], "formation_enthalpy_0k_mev_per_atom": -746, "space_group": "No. 62", "final_energy_ry_per_atom": -1.79224}



# 8
{"formula": "ZrTe", "functional": "r2SCAN", "state": "relaxed", "cell": [[-2.084, 1.960, 2.442], [-1.256, -3.287, -1.330], [3.485, -3.755, 5.988]], "species": ["Zr", "Zr", "Te", "Te"], "frac_coords": [[0.000, 0.000, 0.000], [0.000, 0.000, 0.500], [0.333, 0.667, 0.250], [0.667, 0.333, 0.750]], "formation_enthalpy_0k_mev_per_atom": -957, "space_group": "No. 194", "final_energy_ry_per_atom": -1.84043}



# 9
{"formula": "ZrTe", "functional": "r2SCAN", "state": "relaxed", "cell": [[-3.648, -0.585, -0.964], [-0.750, -4.316, 5.455], [-2.046, 5.739, 4.260]], "species": ["Zr", "Zr", "Zr", "Zr", "Te", "Te", "Te", "Te"], "frac_coords": [[0.750, 0.313, 0.993], [0.750, 0.187, 0.493], [0.250, 0.687, 0.007], [0.250, 0.813, 0.507], [0.250, 0.424, 0.708], [0.750, 0.576, 0.292], [0.250, 0.076, 0.208], [0.750, 0.924, 0.792]], "formation_enthalpy_0k_mev_per_atom": -1017, "space_group": "No. 62", "final_energy_ry_per_atom": -1.84484}



# 10
{"formula": "Zr2Te3", "functional": "r2SCAN", "state": "relaxed", "cell": [[0.567, -6.810, 1.650], [-5.835, -1.700, -5.015], [1.445, -4.719, -5.008]], "species": ["Zr", "Zr", "Zr", "Zr", "Te", "Te", "Te", "Te", "Te", "Te"], "frac_coords": [[0.667, 0.000, 0.667], [0.327, 0.982, 0.345], [0.006, 0.018, 0.988], [0.167, 0.500, 0.667], [0.741, 0.262, 0.170], [0.089, 0.262, 0.479], [0.432, 0.262, 0.827], [0.901, 0.738, 0.506], [0.244, 0.738, 0.854], [0.593, 0.738, 0.163]], "formation_enthalpy_0k_mev_per_atom": -1074, "space_group": "No. 148", "final_energy_ry_per_atom": -1.86865}



# 11
{"formula": "Th", "functional": "r2SCAN", "state": "relaxed", "cell": [[-3.049, -0.495, 1.637], [1.395, -3.098, -0.827], [2.185, 1.738, 2.105]], "species": ["Th"], "frac_coords": [[0.000, 0.000, 0.000]], "formation_enthalpy_0k_mev_per_atom": 152, "space_group": "No. 229", "final_energy_ry_per_atom": -5.38920}



# 12
{"formula": "Th", "functional": "r2SCAN", "state": "relaxed", "cell": [[-0.515, -1.316, -3.282], [-2.915, -1.719, 1.146], [0.305, 3.520, 0.486]], "species": ["Th"], "frac_coords": [[0.000, 0.000, 0.000]], "formation_enthalpy_0k_mev_per_atom": 0, "space_group": "No. 139", "final_energy_ry_per_atom": -5.40033}



# 13
{"formula": "Th2Tl", "functional": "r2SCAN", "state": "relaxed", "cell": [[-3.902, 3.902, 3.085], [3.902, -3.902, 3.085], [3.902, 3.902, -3.085]], "species": ["Th", "Th", "Th", "Th", "Tl", "Tl"], "frac_coords": [[0.152, 0.652, 0.804], [0.848, 0.348, 0.196], [0.348, 0.152, 0.500], [0.652, 0.848, 0.500], [0.250, 0.250, 0.000], [0.750, 0.750, 0.000]], "formation_enthalpy_0k_mev_per_atom": -172, "space_group": "No. 140", "final_energy_ry_per_atom": -4.91574}



# 14
{"formula": "ThTl3", "functional": "r2SCAN", "state": "relaxed", "cell": [[4.803, 0.000, 0.000], [0.000, 4.803, 0.000], [0.000, 0.000, 4.803]], "species": ["Th", "Tl", "Tl", "Tl"], "frac_coords": [[0.000, 0.000, 0.000], [0.500, 0.000, 0.500], [0.000, 0.500, 0.500], [0.500, 0.500, 0.000]], "formation_enthalpy_0k_mev_per_atom": -235, "space_group": "No. 221", "final_energy_ry_per_atom": -4.29881}



# 15
{"formula": "ThTl", "functional": "r2SCAN", "state": "relaxed", "cell": [[6.586, 0.000, 0.000], [0.000, 9.996, 0.000], [0.000, 0.000, 10.897]], "species": ["Th", "Th", "Th", "Th", "Th", "Th", "Th", "Th", "Th", "Th", "Th", "Th", "Tl", "Tl", "Tl", "Tl", "Tl", "Tl", "Tl", "Tl", "Tl", "Tl", "Tl", "Tl"], "frac_coords": [[0.000, 0.750, 0.390], [0.500, 0.250, 0.610], [0.000, 0.250, 0.610], [0.500, 0.750, 0.390], [0.750, 0.628, 0.689], [0.250, 0.372, 0.311], [0.750, 0.128, 0.311], [0.250, 0.872, 0.689], [0.750, 0.534, 0.113], [0.250, 0.466, 0.887], [0.750, 0.034, 0.887], [0.250, 0.966, 0.113], [0.000, 0.750, 0.925], [0.500, 0.250, 0.075], [0.000, 0.250, 0.075], [0.500, 0.750, 0.925], [0.750, 0.946, 0.596], [0.250, 0.054, 0.404], [0.750, 0.446, 0.404], [0.250, 0.554, 0.596], [0.750, 0.869, 0.148], [0.250, 0.131, 0.852], [0.750, 0.369, 0.852], [0.250, 0.631, 0.148]], "formation_enthalpy_0k_mev_per_atom": -259, "space_group": "No. 57", "final_energy_ry_per_atom": -4.67349}



# 16
{"formula": "TmTh3", "functional": "r2SCAN", "state": "relaxed", "cell": [[-1.740, 1.940, -4.312], [-4.362, 1.112, 2.263], [1.820, 4.515, 1.295]], "species": ["Tm", "Th", "Th", "Th"], "frac_coords": [[0.000, 0.000, 0.000], [0.000, 0.500, 0.500], [0.500, 0.000, 0.500], [0.500, 0.500, 0.000]], "formation_enthalpy_0k_mev_per_atom": 43, "space_group": "No. 221", "final_energy_ry_per_atom": -4.69244}



# 17
{"formula": "Y3Th", "functional": "r2SCAN", "state": "relaxed", "cell": [[-2.571, 2.571, 4.993], [2.571, -2.571, 4.993], [2.571, 2.571, -4.993]], "species": ["Y", "Y", "Y", "Th"], "frac_coords": [[0.750, 0.250, 0.500], [0.250, 0.750, 0.500], [0.500, 0.500, 0.000], [0.000, 0.000, 0.000]], "formation_enthalpy_0k_mev_per_atom": 84, "space_group": "No. 139", "final_energy_ry_per_atom": -2.46371}



# 18
{"formula": "Y3Th", "functional": "r2SCAN", "state": "relaxed", "cell": [[-5.116, -4.840, 1.880], [5.419, -1.970, -4.459], [3.201, -1.598, 4.598]], "species": ["Y", "Y", "Y", "Y", "Y", "Y", "Th", "Th"], "frac_coords": [[0.168, 0.336, 0.250], [0.664, 0.832, 0.250], [0.168, 0.832, 0.250], [0.832, 0.664, 0.750], [0.336, 0.168, 0.750], [0.832, 0.168, 0.750], [0.333, 0.667, 0.750], [0.667, 0.333, 0.250]], "formation_enthalpy_0k_mev_per_atom": 76, "space_group": "No. 194", "final_energy_ry_per_atom": -2.46430}



# 19
{"formula": "Th2Zn17", "functional": "r2SCAN", "state": "relaxed", "cell": [[-6.324, -2.394, 0.278], [0.961, -4.314, 5.125], [-2.217, 4.060, 4.941]], "species": ["Th", "Th", "Zn", "Zn", "Zn", "Zn", "Zn", "Zn", "Zn", "Zn", "Zn", "Zn", "Zn", "Zn", "Zn", "Zn", "Zn", "Zn", "Zn"], "frac_coords": [[0.338, 0.338, 0.338], [0.662, 0.662, 0.662], [0.000, 0.000, 0.500], [0.500, 0.000, 0.000], [0.000, 0.500, 0.000], [0.291, 0.709, 0.000], [0.000, 0.291, 0.709], [0.709, 0.000, 0.291], [0.709, 0.291, 0.000], [0.000, 0.709, 0.291], [0.291, 0.000, 0.709], [0.650, 0.161, 0.650], [0.650, 0.650, 0.161], [0.161, 0.650, 0.650], [0.839, 0.350, 0.350], [0.350, 0.839, 0.350], [0.350, 0.350, 0.839], [0.099, 0.099, 0.099], [0.901, 0.901, 0.901]], "formation_enthalpy_0k_mev_per_atom": -252, "space_group": "No. 166", "final_energy_ry_per_atom": -1.17294}



# 20
{"formula": "ThZn4", "functional": "r2SCAN", "state": "relaxed", "cell": [[-1.901, -3.752, -0.646], [3.803, -1.905, -0.128], [-1.163, 2.067, 5.436]], "species": ["Th", "Zn", "Zn", "Zn", "Zn"], "frac_coords": [[0.000, 0.000, 0.000], [0.619, 0.619, 0.237], [0.250, 0.750, 0.500], [0.750, 0.250, 0.500], [0.381, 0.381, 0.763]], "formation_enthalpy_0k_mev_per_atom": -325, "space_group": "No. 139", "final_energy_ry_per_atom": -1.62788}